This record from the Materials Project database describes a relaxed Li4MnCo2O7 crystal. The functional is GGA+U.

```
Li4MnCo2O7
1.0
5.075 0.000 0.000
-1.761 5.606 0.000
-0.947 -0.452 8.860
Li Mn Co O
8 2 4 14
Cartesian
0.000 0.000 0.000
-0.880 2.803 0.000
-0.040 1.500 2.400
-0.106 2.942 5.100
-0.165 4.389 7.609
2.531 0.766 1.251
2.473 2.213 3.760
2.407 3.655 6.460
-0.927 4.267 2.482
3.293 0.887 6.378
0.790 0.145 5.064
0.765 1.672 7.640
1.601 3.482 1.220
1.576 5.010 3.796
-1.749 4.102 4.311
-0.991 2.515 6.901
-0.157 -0.036 6.907
-0.074 4.560 0.812
0.919 1.857 0.634
1.631 0.333 3.204
0.701 3.372 3.142
1.666 1.782 5.718
0.735 4.822 5.656
1.448 3.298 8.226
2.440 0.594 8.048
2.524 5.191 1.953
3.357 2.640 1.959
4.116 1.053 4.548
```

Values from the calculation:
volume = 252.1 Å³ per cell
M_tot = 6.0 μB per cell
E_form = -1.8644 eV per atom
excess energy over the best structure of this formula in the dataset = 20 meV per atom